KNdZnWO6 | PBE with a Hubbard U | relaxed

Structure (POSCAR):
```
KNdZnWO6
1.0
0.000 -4.009 -4.009
4.009 0.000 -4.009
4.009 -4.009 0.000
O W Zn Nd K
6 1 1 1 1
Cartesian
4.009 -4.009 -2.070
4.009 -4.009 -5.948
5.948 -4.009 -4.009
4.009 -5.948 -4.009
2.070 -4.009 -4.009
4.009 -2.070 -4.009
4.009 -4.009 -4.009
0.000 0.000 0.000
6.013 -6.013 -6.013
2.004 -2.004 -2.004
```

Output
magnetization	0.00	μB/f.u.
total DFT energy (no corrections)	-65.60	eV for the cell shown
formation enthalpy at 0 K	-24.4	eV/f.u.
symmetry	No. 216
mass density	6.812	Mg/m³